Below is a relaxed structure of Ba2LiZn2S2O2, with properties calculated at the PBE level.

Energy of formation from the pure elements (eV per atom): -1.727
Energy with MP2020 corrections (eV per atom): -4.664
Total moment (Bohr magnetons per cell): 0.0
Final energy (eV per atom): -4.400

Cell lengths 4.323, 6.847, 6.435 Å; angles 86.40, 109.57, 89.28 degrees
Atoms (fractional coordinates):
Ba (0.586, 0.218, 0.180)
Ba (0.429, 0.737, 0.821)
Li (0.144, 0.507, 0.306)
Zn (0.137, 0.863, 0.270)
Zn (0.889, 0.241, 0.783)
S (0.687, 0.717, 0.374)
S (0.297, 0.242, 0.600)
O (0.993, 0.432, 0.013)
O (0.987, 0.980, 0.967)



Below is a relaxed structure of Ba2LiZn2S2O2, with properties calculated at the PBE level.

Energy of formation from the pure elements (eV per atom): -1.780
Energy with MP2020 corrections (eV per atom): -4.717
Total moment (Bohr magnetons per cell): 1.0
Final energy (eV per atom): -4.453

Cell lengths 3.993, 6.192, 7.533 Å; angles 100.30, 90.11, 90.22 degrees
Atoms (fractional coordinates):
Ba (0.583, 0.269, 0.189)
Ba (0.583, 0.673, 0.816)
Li (0.579, 0.119, 0.570)
Zn (0.086, 0.768, 0.186)
Zn (0.076, 0.190, 0.831)
S (0.587, 0.796, 0.350)
S (0.083, 0.330, 0.557)
O (0.083, 0.473, 0.016)
O (0.089, 0.966, 0.994)



Below is a relaxed structure of Ba6Li2Ti7Sb9O42, with properties calculated at the PBE level.

Energy of formation from the pure elements (eV per atom): -2.722
Energy with MP2020 corrections (eV per atom): -7.504
Total moment (Bohr magnetons per cell): 0.3
Final energy (eV per atom): -7.066

Cell lengths 9.266, 9.266, 11.992 Å; angles 89.94, 89.94, 119.87 degrees
Atoms (fractional coordinates):
Ba (0.404, 0.404, 0.245)
Ba (0.590, 0.590, 0.752)
Ba (0.001, 0.595, 0.245)
Ba (0.003, 0.403, 0.750)
Ba (0.403, 0.003, 0.750)
Ba (0.595, 0.001, 0.245)
Li (0.999, 0.999, 0.228)
Li (0.005, 0.005, 0.736)
Ti (0.253, 0.253, 0.915)
Ti (0.256, 0.256, 0.601)
Ti (0.742, 0.742, 0.097)
Ti (0.999, 0.742, 0.598)
Ti (0.260, 0.007, 0.092)
Ti (0.007, 0.260, 0.092)
Ti (0.742, 0.999, 0.598)
Sb (0.753, 0.753, 0.416)
Sb (0.667, 0.333, 0.000)
Sb (0.666, 0.333, 0.500)
Sb (0.002, 0.756, 0.916)
Sb (0.246, 0.001, 0.414)
Sb (0.001, 0.246, 0.414)
Sb (0.333, 0.667, 0.000)
Sb (0.333, 0.666, 0.500)
Sb (0.756, 0.002, 0.916)
O (0.205, 0.205, 0.072)
O (0.204, 0.204, 0.426)
O (0.209, 0.209, 0.752)
O (0.482, 0.313, 0.602)
O (0.478, 0.311, 0.899)
O (0.797, 0.797, 0.250)
O (0.487, 0.171, 0.105)
O (0.488, 0.171, 0.394)
O (0.798, 0.798, 0.580)
O (0.794, 0.794, 0.927)
O (0.686, 0.517, 0.102)
O (0.682, 0.511, 0.394)
O (0.827, 0.513, 0.893)
O (0.830, 0.517, 0.601)
O (0.997, 0.799, 0.081)
O (0.000, 0.795, 0.427)
O (0.687, 0.169, 0.601)
O (0.680, 0.170, 0.893)
O (0.002, 0.799, 0.749)
O (0.830, 0.318, 0.393)
O (0.835, 0.315, 0.097)
O (0.199, 0.000, 0.579)
O (0.202, 0.996, 0.928)
O (0.202, 0.999, 0.247)
O (0.169, 0.687, 0.601)
O (0.170, 0.680, 0.893)
O (0.999, 0.202, 0.247)
O (0.315, 0.835, 0.097)
O (0.318, 0.830, 0.393)
O (0.000, 0.199, 0.579)
O (0.996, 0.202, 0.928)
O (0.171, 0.487, 0.105)
O (0.171, 0.488, 0.394)
O (0.313, 0.482, 0.602)
O (0.311, 0.478, 0.899)
O (0.517, 0.830, 0.601)
O (0.513, 0.827, 0.893)
O (0.511, 0.682, 0.394)
O (0.517, 0.686, 0.102)
O (0.799, 0.002, 0.749)
O (0.795, 0.000, 0.427)
O (0.799, 0.997, 0.081)



Below is a relaxed structure of Ba2LiTbSnO6, with properties calculated at the PBE level.

Energy of formation from the pure elements (eV per atom): -2.798
Energy with MP2020 corrections (eV per atom): -6.805
Total moment (Bohr magnetons per cell): 0.0
Final energy (eV per atom): -6.430

Cell lengths 6.025, 6.456, 6.462 Å; angles 55.60, 89.97, 117.74 degrees
Atoms (fractional coordinates):
Ba (0.755, 0.509, 0.755)
Ba (0.210, 0.421, 0.210)
Li (0.373, 0.742, 0.373)
Tb (0.997, 0.993, 0.997)
Sn (0.516, 0.031, 0.516)
O (0.266, 0.008, 0.266)
O (0.747, 0.002, 0.747)
O (0.266, 0.530, 0.745)
O (0.747, 0.494, 0.254)
O (0.254, 0.001, 0.747)
O (0.745, 0.009, 0.266)



Below is a relaxed structure of Ba2LiTbSnO6, with properties calculated at the PBE level.

Energy of formation from the pure elements (eV per atom): -2.816
Energy with MP2020 corrections (eV per atom): -6.823
Total moment (Bohr magnetons per cell): 0.0
Final energy (eV per atom): -6.448

Cell lengths 6.060, 6.257, 6.030 Å; angles 61.19, 90.00, 118.97 degrees
Atoms (fractional coordinates):
Ba (0.790, 0.580, 0.710)
Ba (0.210, 0.420, 0.290)
Li (0.500, 0.000, 0.000)
Tb (0.000, 0.000, 0.000)
Sn (0.500, 0.000, 0.500)
O (0.266, 0.000, 0.250)
O (0.734, 0.000, 0.750)
O (0.260, 0.520, 0.740)
O (0.740, 0.480, 0.260)
O (0.266, 0.000, 0.750)
O (0.734, 0.000, 0.250)



Below is a relaxed structure of Ba2LiTbSnO6, with properties calculated at the PBE level.

Energy of formation from the pure elements (eV per atom): -2.776
Energy with MP2020 corrections (eV per atom): -6.783
Total moment (Bohr magnetons per cell): 0.0
Final energy (eV per atom): -6.409

Cell lengths 6.002, 6.462, 6.462 Å; angles 55.36, 89.99, 117.68 degrees
Atoms (fractional coordinates):
Ba (0.711, 0.420, 0.709)
Ba (0.240, 0.477, 0.238)
Li (0.872, 0.743, 0.870)
Tb (0.022, 0.042, 0.020)
Sn (0.502, 0.004, 0.501)
O (0.266, 0.021, 0.266)
O (0.750, 0.004, 0.747)
O (0.266, 0.532, 0.755)
O (0.750, 0.497, 0.254)
O (0.256, 0.004, 0.748)
O (0.752, 0.018, 0.266)